[1]
Material: DyInCo4
Method: DFT, GGA-PBE
State: relaxed

Summary:
Symmetry = F-43m (216)
DFT total energy = -36.63 eV for the cell shown
Formation energy from the elements = -0.139 eV/atom
Crystal system = cubic

CIF file:
```
data_DyInCo4
_chemical_formula_sum 'Dy1 In1 Co4'
_space_group_name_H-M_alt 'P 1'
_space_group_IT_number 1
_space_group_name_Hall 'P 1'
_cell_length_a 4.988
_cell_length_b 4.988
_cell_length_c 4.988
_cell_angle_alpha 60.00
_cell_angle_beta 60.00
_cell_angle_gamma 60.00
loop_
_atom_site_label
_atom_site_fract_x
_atom_site_fract_y
_atom_site_fract_z
_atom_site_occupancy
Dy1 0.750 0.750 0.750 1
In1 0.000 0.000 0.000 1
Co1 0.375 0.375 0.375 1
Co2 0.876 0.375 0.375 1
Co3 0.375 0.876 0.375 1
Co4 0.375 0.375 0.876 1
```



[2]
Material: SrSbPt
Method: DFT, GGA-PBE
State: relaxed

Summary:
Symmetry = P-6m2 (187)
DFT total energy = -14.74 eV for the cell shown
Formation energy from the elements = -0.952 eV/atom
Crystal system = hexagonal

CIF file:
```
data_SrSbPt
_chemical_formula_sum 'Sr1 Sb1 Pt1'
_space_group_name_H-M_alt 'P 1'
_space_group_IT_number 1
_space_group_name_Hall 'P 1'
_cell_length_a 4.561
_cell_length_b 4.568
_cell_length_c 4.568
_cell_angle_alpha 120.00
_cell_angle_beta 90.00
_cell_angle_gamma 90.00
loop_
_atom_site_label
_atom_site_fract_x
_atom_site_fract_y
_atom_site_fract_z
_atom_site_occupancy
Sr1 0.000 0.000 0.000 1
Sb1 0.500 0.667 0.333 1
Pt1 0.500 0.333 0.667 1
```



[3]
Material: YClO2
Method: DFT, GGA-PBE
State: relaxed

Summary:
Symmetry = Pnma (62)
DFT total energy = -99.05 eV for the cell shown
Energy above the lowest structure with this stoichiometry = 77 meV per atom
Formation energy from the elements = -1.981 eV/atom
Crystal system = orthorhombic

CIF file:
```
data_YClO2
_chemical_formula_sum 'Y4 Cl4 O8'
_space_group_name_H-M_alt 'P 1'
_space_group_IT_number 1
_space_group_name_Hall 'P 1'
_cell_length_a 3.596
_cell_length_b 6.278
_cell_length_c 11.896
_cell_angle_alpha 90.00
_cell_angle_beta 90.00
_cell_angle_gamma 90.00
loop_
_atom_site_label
_atom_site_fract_x
_atom_site_fract_y
_atom_site_fract_z
_atom_site_occupancy
Y1 0.250 0.752 0.081 1
Y2 0.750 0.248 0.919 1
Y3 0.750 0.252 0.419 1
Y4 0.250 0.748 0.581 1
Cl1 0.250 0.096 0.261 1
Cl2 0.750 0.904 0.739 1
Cl3 0.750 0.596 0.239 1
Cl4 0.250 0.404 0.761 1
O1 0.250 0.403 0.029 1
O2 0.750 0.597 0.971 1
O3 0.750 0.903 0.471 1
O4 0.250 0.097 0.529 1
O5 0.250 0.509 0.436 1
O6 0.750 0.491 0.564 1
O7 0.750 0.009 0.064 1
O8 0.250 0.991 0.936 1
```